# 1
CrPbO4 r²SCAN relaxed; calculated formation energy = -1.753 eV/atom; spin magnetization = 0.0 μB/f.u.
1.0
-7.108 -1.680 1.384
1.895 -6.118 2.305
2.097 -2.121 8.191
Pb O Cr
4 16 4
Direct
0.142 0.179 0.720
0.358 0.179 0.220
0.642 0.821 0.780
0.858 0.821 0.280
0.845 0.141 0.875
0.288 0.398 0.388
0.599 0.346 0.968
0.155 0.859 0.125
0.788 0.602 0.112
0.212 0.398 0.888
0.345 0.859 0.625
0.401 0.654 0.032
0.712 0.602 0.612
0.992 0.193 0.251
0.901 0.346 0.468
0.655 0.141 0.375
0.008 0.807 0.749
0.099 0.654 0.532
0.492 0.807 0.249
0.508 0.193 0.751
0.664 0.319 0.799
0.836 0.319 0.299
0.164 0.681 0.701
0.336 0.681 0.201

# 2
CrPb2O5 r²SCAN relaxed; calculated formation energy = -1.663 eV/atom; spin magnetization = 0.0 μB/f.u.
1.0
-6.852 -2.497 1.946
-3.672 -1.159 6.492
-4.514 5.314 1.594
O Cr Pb
10 2 4
Direct
0.619 0.085 0.271
0.915 0.381 0.729
0.381 0.915 0.729
0.748 0.252 0.500
0.095 0.095 0.091
0.085 0.619 0.271
0.905 0.905 0.909
0.252 0.748 0.500
0.704 0.704 0.199
0.296 0.296 0.801
0.829 0.829 0.159
0.171 0.171 0.841
0.857 0.857 0.611
0.482 0.482 0.766
0.518 0.518 0.234
0.143 0.143 0.389

# 3
PrCrO3 r²SCAN relaxed; calculated formation energy = -3.129 eV/atom; spin magnetization = 3.0 μB/f.u.
1.0
5.467 0.000 0.000
0.000 5.522 0.000
0.000 0.000 7.752
O Cr Pr
12 4 4
Direct
0.712 0.287 0.041
0.288 0.713 0.959
0.212 0.213 0.541
0.788 0.787 0.459
0.422 0.984 0.250
0.712 0.287 0.459
0.212 0.213 0.959
0.578 0.016 0.750
0.788 0.787 0.041
0.078 0.484 0.250
0.288 0.713 0.541
0.922 0.516 0.750
0.500 0.000 0.500
0.000 0.500 0.000
0.000 0.500 0.500
0.500 0.000 0.000
0.991 0.042 0.250
0.509 0.542 0.250
0.009 0.958 0.750
0.491 0.458 0.750